1:
Mg6MnSiO8: relaxed, PBE with a Hubbard U.

## Properties
As for the crystal system: tetragonal. Its calculated volume is 10.325 Å³/atom. As for the total magnetization: 5.00 μB/f.u.

a b c (Å): 8.732 4.349 4.349
angles (deg): 90.00 90.00 90.00
Fractional coordinates of all 16 atoms:
Mg (0.500, 0.500, 0.500)
O (0.000, 0.500, 0.000)
O (0.738, 0.500, 0.500)
Mg (0.744, 0.500, 0.000)
Mg (0.744, 0.000, 0.500)
Mg (0.256, 0.500, 0.000)
O (0.742, 0.000, 0.000)
Mg (0.500, 0.000, 0.000)
O (0.000, 0.000, 0.500)
O (0.262, 0.500, 0.500)
Si (0.000, 0.500, 0.500)
O (0.500, 0.500, 0.000)
Mg (0.256, 0.000, 0.500)
O (0.500, 0.000, 0.500)
O (0.258, 0.000, 0.000)
Mn (0.000, 0.000, 0.000)

=====

2:
Mg6MnSiO8: relaxed, PBE with a Hubbard U.

## Properties
As for the crystal system: tetragonal. Its calculated volume is 10.323 Å³/atom. As for the total magnetization: 4.97 μB/f.u.

a b c (Å): 8.690 4.360 4.360
angles (deg): 90.00 90.00 90.00
Fractional coordinates of all 16 atoms:
O (0.500, 0.000, 0.500)
O (0.000, 0.000, 0.500)
Mg (0.000, 0.500, 0.500)
Mg (0.500, 0.500, 0.500)
O (0.000, 0.500, 0.000)
Mg (0.751, 0.000, 0.500)
Si (0.500, 0.000, 0.000)
O (0.750, 0.500, 0.500)
O (0.753, 0.000, 0.000)
Mg (0.249, 0.000, 0.500)
Mg (0.249, 0.500, 0.000)
Mn (0.000, 0.000, 0.000)
O (0.500, 0.500, 0.000)
O (0.247, 0.000, 0.000)
Mg (0.751, 0.500, 0.000)
O (0.250, 0.500, 0.500)

=====

1 is favored, and the nearest alternative lies 8 meV per atom above it.

=====

1:
MgMn3SnO8: relaxed, PBE with a Hubbard U.

## Properties
As for the crystal system: monoclinic. Its calculated volume is 12.227 Å³/atom. As for the total magnetization: 11.01 μB/f.u.

a b c (Å): 6.194 6.194 6.020
angles (deg): 59.70 59.71 57.26
Fractional coordinates of all 13 atoms:
Mg (0.000, 0.000, 0.000)
Mn (0.500, 0.500, 0.000)
O (0.743, 0.743, 0.288)
O (0.719, 0.719, 0.742)
Mn (0.000, 0.500, 0.500)
O (0.257, 0.257, 0.712)
O (0.281, 0.281, 0.258)
Mn (0.500, 0.000, 0.500)
O (0.730, 0.273, 0.768)
O (0.727, 0.270, 0.232)
O (0.270, 0.727, 0.232)
O (0.273, 0.730, 0.768)
Sn (0.500, 0.500, 0.500)

=====

2:
MgMn3SnO8: relaxed, PBE with a Hubbard U.

## Properties
As for the crystal system: triclinic. Its calculated volume is 12.372 Å³/atom. As for the total magnetization: 11.00 μB/f.u.

a b c (Å): 6.237 6.088 6.117
angles (deg): 60.09 58.67 58.56
Fractional coordinates of all 13 atoms:
O (0.252, 0.233, 0.314)
O (0.283, 0.748, 0.746)
O (0.257, 0.696, 0.261)
O (0.739, 0.294, 0.736)
O (0.700, 0.245, 0.251)
O (0.751, 0.756, 0.708)
Mn (0.497, 0.008, 0.500)
O (0.720, 0.756, 0.269)
Mn (0.005, 0.495, 0.504)
O (0.296, 0.235, 0.719)
Mg (0.870, 0.888, 0.863)
Mn (0.492, 0.497, 0.005)
Sn (0.501, 0.502, 0.491)

=====

3:
MgMn3SnO8: relaxed, PBE with a Hubbard U.

## Properties
As for the crystal system: monoclinic. Its calculated volume is 12.823 Å³/atom. As for the total magnetization: 11.00 μB/f.u.

a b c (Å): 6.434 6.092 6.092
angles (deg): 58.97 59.68 59.67
Fractional coordinates of all 13 atoms:
O (0.306, 0.745, 0.745)
Mg (0.500, 0.000, 0.000)
O (0.702, 0.281, 0.769)
Mn (0.500, 0.500, 0.000)
O (0.298, 0.719, 0.231)
Mn (0.500, 0.000, 0.500)
O (0.304, 0.249, 0.249)
Sn (0.500, 0.500, 0.500)
O (0.702, 0.769, 0.281)
O (0.298, 0.231, 0.719)
O (0.696, 0.751, 0.751)
O (0.694, 0.255, 0.255)
Mn (0.000, 0.500, 0.500)

=====

2 is favored, and the nearest alternative lies 13 meV per atom above it.

=====

1:
Sr8MgMn6O20: relaxed, PBE with a Hubbard U.

## Properties
As for the crystal system: monoclinic. Its calculated volume is 13.727 Å³/atom. As for the total magnetization: 19.95 μB/f.u.

a b c (Å): 5.556 6.783 13.976
angles (deg): 89.60 90.00 114.18
Fractional coordinates of all 35 atoms:
Sr (0.760, 0.519, 0.890)
Sr (0.457, 0.914, 0.803)
O (0.143, 0.783, 0.263)
O (0.222, 0.445, 0.352)
O (0.543, 0.086, 0.368)
Sr (0.257, 0.513, 0.600)
O (0.360, 0.217, 0.737)
Mn (0.500, 0.000, 0.500)
Mn (0.000, 0.000, 0.000)
Sr (0.240, 0.481, 0.110)
O (0.622, 0.782, 0.465)
O (0.347, 0.206, 0.962)
O (0.640, 0.783, 0.263)
Sr (0.543, 0.086, 0.197)
O (0.653, 0.794, 0.038)
O (0.141, 0.794, 0.038)
O (0.040, 0.080, 0.138)
O (0.457, 0.914, 0.632)
O (0.272, 0.544, 0.841)
Mn (0.631, 0.262, 0.647)
O (0.728, 0.456, 0.159)
O (0.378, 0.218, 0.535)
Mn (0.123, 0.246, 0.838)
O (0.160, 0.782, 0.465)
O (0.859, 0.206, 0.962)
O (0.840, 0.218, 0.535)
O (0.960, 0.920, 0.862)
O (0.778, 0.555, 0.648)
Sr (0.743, 0.487, 0.400)
Sr (0.970, 0.940, 0.627)
O (0.857, 0.217, 0.737)
Mn (0.369, 0.738, 0.353)
Mn (0.877, 0.754, 0.162)
Sr (0.030, 0.060, 0.373)
Mg (0.500, 0.000, 0.000)

=====

2:
Sr8MgMn6O20: relaxed, PBE with a Hubbard U.

## Properties
As for the crystal system: triclinic. Its calculated volume is 13.997 Å³/atom. As for the total magnetization: 19.97 μB/f.u.

a b c (Å): 5.777 7.051 13.498
angles (deg): 90.75 92.43 116.81
Fractional coordinates of all 35 atoms:
O (0.129, 0.703, 0.455)
Sr (0.655, 0.468, 0.460)
Sr (0.476, 0.935, 0.862)
Mn (0.030, 0.010, 0.993)
Sr (0.985, 0.203, 0.393)
O (0.824, 0.853, 0.265)
O (0.357, 0.213, 0.946)
O (0.363, 0.459, 0.318)
Mn (0.560, 0.238, 0.662)
O (0.140, 0.791, 0.018)
O (0.705, 0.806, 0.046)
Sr (0.767, 0.524, 0.901)
O (0.923, 0.926, 0.855)
O (0.263, 0.133, 0.514)
Mg (0.122, 0.858, 0.335)
Sr (0.907, 0.923, 0.641)
O (0.505, 0.042, 0.365)
Mn (0.440, 0.956, 0.505)
O (0.270, 0.217, 0.733)
O (0.693, 0.532, 0.645)
O (0.918, 0.227, 0.971)
Mn (0.481, 0.746, 0.331)
O (0.138, 0.089, 0.129)
O (0.823, 0.254, 0.771)
O (0.771, 0.208, 0.552)
O (0.638, 0.805, 0.473)
Mn (0.111, 0.256, 0.847)
Sr (0.193, 0.511, 0.655)
O (0.756, 0.477, 0.134)
O (0.289, 0.552, 0.844)
Sr (0.302, 0.483, 0.108)
O (0.406, 0.908, 0.647)
Sr (0.580, 0.092, 0.123)
Mn (0.949, 0.767, 0.141)
O (0.245, 0.762, 0.218)

=====

2 is favored, and the nearest alternative lies 12 meV per atom above it.